DFT (PBE) results for a geometry-optimized Ba3AlO4 structure. Values from VASP.

Calculated values
Its volume is 20.3 Å³ per atom. The calculated formation energy is -2.945 eV per atom. The uncorrected energy comes out at -6.263 eV/atom. As for the density: 5.15 g/cm3.

```
&SYSTEM
  ibrav = 0, nat = 32, ntyp = 3
/
ATOMIC_SPECIES
Ba 137.33 Ba.upf
Al 26.98 Al.upf
O 16.00 O.upf
ATOMIC_POSITIONS crystal
Ba 0.037 0.250 0.096
Ba 0.164 0.026 0.602
Ba 0.164 0.474 0.602
Ba 0.336 0.526 0.102
Ba 0.336 0.974 0.102
Ba 0.463 0.750 0.596
Ba 0.537 0.250 0.404
Ba 0.664 0.026 0.898
Ba 0.664 0.474 0.898
Ba 0.836 0.526 0.398
Ba 0.836 0.974 0.398
Ba 0.963 0.750 0.904
Al 0.104 0.750 0.311
Al 0.396 0.250 0.811
Al 0.604 0.750 0.189
Al 0.896 0.250 0.689
O 0.012 0.750 0.517
O 0.072 0.566 0.195
O 0.072 0.934 0.195
O 0.233 0.250 0.872
O 0.267 0.750 0.372
O 0.428 0.066 0.695
O 0.428 0.434 0.695
O 0.488 0.250 0.017
O 0.512 0.750 0.983
O 0.572 0.566 0.305
O 0.572 0.934 0.305
O 0.733 0.250 0.628
O 0.767 0.750 0.128
O 0.928 0.066 0.805
O 0.928 0.434 0.805
O 0.988 0.250 0.483
CELL_PARAMETERS angstrom
10.646 0.000 0.000
0.000 8.283 0.000
0.000 0.000 7.356
```